Sr7CaTi3Mn5O24: relaxed, PBE+U.

Properties
As for the formation energy: -277 kJ/mol of atoms. For the total energy, the calculation gives -7.30 eV/atom. Its mass density is 5.099 g cm⁻³. The value obtained for the corrected total energy (MP2020 scheme) is -316.8 eV/f.u.

Cell lengths 11.0456, 11.0438, 7.7718 Å; angles 90.00, 90.01, 90.00 degrees
Space group Cm (No. 8)
Inequivalent atoms, fractional coordinates:
Sr  0.0000  0.0000  0.0000 (multiplicity 2)
Sr  0.0000  0.0000  0.4930 (multiplicity 2)
Sr  0.0023  0.5000  0.4927 (multiplicity 2)
Sr  0.2511  0.2512  0.0000 (multiplicity 4)
Sr  0.2512  0.2512  0.4930 (multiplicity 4)
Ca  0.0026  0.5000  0.0008 (multiplicity 2)
Ti  0.0013  0.2507  0.7472 (multiplicity 4)
Ti  0.2517  0.0000  0.7473 (multiplicity 2)
Mn  0.0012  0.2505  0.2461 (multiplicity 4)
Mn  0.2509  0.5000  0.2461 (multiplicity 2)
Mn  0.2508  0.5000  0.7470 (multiplicity 2)
Mn  0.2516  0.0000  0.2462 (multiplicity 2)
O  0.0012  0.2503  0.4938 (multiplicity 4)
O  0.0011  0.2516  0.9992 (multiplicity 4)
O  0.1250  0.3760  0.2443 (multiplicity 4)
O  0.1262  0.1252  0.2463 (multiplicity 4)
O  0.1262  0.1253  0.7468 (multiplicity 4)
O  0.1267  0.3772  0.7481 (multiplicity 4)
O  0.2489  0.5000  0.9957 (multiplicity 2)
O  0.2514  0.0000  0.4937 (multiplicity 2)
O  0.2511  0.5000  0.4972 (multiplicity 2)
O  0.2527  0.0000  0.9993 (multiplicity 2)
O  0.3747  0.3762  0.7468 (multiplicity 4)
O  0.3761  0.3748  0.2463 (multiplicity 4)
O  0.3773  0.1240  0.2443 (multiplicity 4)
O  0.3770  0.1245  0.7478 (multiplicity 4)